# 1
An optimized crystal structure of DyMoO5, computed with PBE+U.

a = 5.361 Å, b = 12.605 Å, c = 6.942 Å
α = 90.00°, β = 116.93°, γ = 90.00°
Element x y z (fractional)
Dy  0.158  0.058  0.285
Dy  0.158  0.442  0.785
Dy  0.842  0.558  0.215
Dy  0.842  0.942  0.715
Mo  0.415  0.136  0.855
Mo  0.415  0.364  0.355
Mo  0.585  0.636  0.645
Mo  0.585  0.864  0.145
O  0.042  0.556  0.986
O  0.042  0.944  0.486
O  0.202  0.060  0.958
O  0.202  0.440  0.458
O  0.263  0.655  0.414
O  0.263  0.845  0.914
O  0.282  0.234  0.274
O  0.282  0.266  0.774
O  0.486  0.576  0.842
O  0.486  0.924  0.342
O  0.514  0.076  0.658
O  0.514  0.424  0.158
O  0.718  0.734  0.226
O  0.718  0.766  0.726
O  0.737  0.155  0.086
O  0.737  0.345  0.586
O  0.798  0.560  0.542
O  0.798  0.940  0.042
O  0.958  0.056  0.514
O  0.958  0.444  0.014

E (MP2020) ... -8.23 eV/atom
Space-group type ... P2_1/c, No. 14

# 2
An optimized crystal structure of V3P2O8, computed with PBE+U.

a = 8.790 Å, b = 9.350 Å, c = 9.709 Å
α = 116.71°, β = 92.42°, γ = 113.47°
Element x y z (fractional)
V  0.002  0.268  0.035
V  0.070  0.340  0.392
V  0.115  0.189  0.662
V  0.398  0.476  0.238
V  0.403  0.801  0.824
V  0.481  0.107  0.674
V  0.519  0.893  0.326
V  0.597  0.199  0.176
V  0.602  0.524  0.762
V  0.885  0.811  0.338
V  0.930  0.660  0.608
V  0.998  0.732  0.965
P  0.176  0.685  0.432
P  0.236  0.064  0.898
P  0.275  0.563  0.950
P  0.317  0.171  0.404
P  0.683  0.829  0.596
P  0.725  0.437  0.050
P  0.764  0.936  0.102
P  0.824  0.315  0.568
O  0.005  0.695  0.416
O  0.072  0.883  0.846
O  0.110  0.381  0.894
O  0.132  0.044  0.398
O  0.161  0.507  0.284
O  0.190  0.657  0.580
O  0.222  0.222  0.035
O  0.227  0.709  0.958
O  0.249  0.085  0.748
O  0.309  0.320  0.376
O  0.326  0.853  0.451
O  0.369  0.534  0.814
O  0.386  0.625  0.113
O  0.400  0.056  0.953
O  0.404  0.075  0.286
O  0.421  0.260  0.581
O  0.579  0.740  0.419
O  0.596  0.925  0.714
O  0.600  0.944  0.047
O  0.614  0.375  0.887
O  0.631  0.466  0.186
O  0.674  0.147  0.549
O  0.691  0.680  0.624
O  0.751  0.915  0.252
O  0.773  0.291  0.042
O  0.778  0.778  0.965
O  0.810  0.343  0.420
O  0.839  0.493  0.716
O  0.868  0.956  0.602
O  0.890  0.619  0.106
O  0.928  0.117  0.154
O  0.995  0.305  0.584

E (MP2020) ... -8.49 eV/atom
Space-group type ... P-1, No. 2

# 3
An optimized crystal structure of MgFe6O6F6, computed with PBE+U.

a = 5.226 Å, b = 3.072 Å, c = 14.746 Å
α = 90.00°, β = 98.55°, γ = 90.00°
Element x y z (fractional)
Mg  0.000  0.000  0.000
Fe  0.004  0.519  0.654
Fe  0.380  0.015  0.209
Fe  0.500  0.019  0.500
Fe  0.500  0.501  0.000
Fe  0.620  0.015  0.791
Fe  0.996  0.519  0.346
O  0.091  0.019  0.276
O  0.301  0.519  0.437
O  0.368  0.001  0.070
O  0.632  0.001  0.930
O  0.699  0.519  0.563
O  0.909  0.019  0.724
F  0.130  0.500  0.930
F  0.208  0.019  0.595
F  0.369  0.516  0.748
F  0.631  0.516  0.252
F  0.792  0.019  0.405
F  0.870  0.500  0.070

E (MP2020) ... -7.07 eV/atom
Space-group type ... P2, No. 3

# 4
An optimized crystal structure of Li9Mn2Co5O16, computed with PBE+U.

a = 5.904 Å, b = 6.475 Å, c = 7.861 Å
α = 87.73°, β = 76.21°, γ = 76.75°
Element x y z (fractional)
Li  0.000  0.000  0.000
Li  0.117  0.374  0.121
Li  0.130  0.876  0.637
Li  0.358  0.636  0.877
Li  0.377  0.121  0.372
Li  0.623  0.879  0.628
Li  0.642  0.364  0.123
Li  0.870  0.124  0.363
Li  0.883  0.626  0.879
Mn  0.249  0.250  0.754
Mn  0.751  0.750  0.246
Co  0.000  0.500  0.500
Co  0.245  0.749  0.245
Co  0.500  0.000  0.000
Co  0.500  0.500  0.500
Co  0.755  0.251  0.755
O  0.043  0.691  0.074
O  0.068  0.204  0.583
O  0.206  0.549  0.680
O  0.208  0.038  0.188
O  0.285  0.461  0.320
O  0.316  0.958  0.813
O  0.435  0.306  0.917
O  0.456  0.790  0.434
O  0.544  0.210  0.566
O  0.565  0.694  0.083
O  0.684  0.042  0.187
O  0.715  0.539  0.680
O  0.792  0.962  0.812
O  0.794  0.451  0.320
O  0.932  0.796  0.417
O  0.957  0.309  0.926

E (MP2020) ... -6.53 eV/atom
Space-group type ... P-1, No. 2

# 5
An optimized crystal structure of Sr2CoGe2O7, computed with PBE+U.

a = 9.859 Å, b = 9.863 Å, c = 9.897 Å
α = 107.55°, β = 107.26°, γ = 113.53°
Element x y z (fractional)
Sr  0.000  0.000  0.000
Sr  0.002  0.667  0.671
Sr  0.176  0.344  0.504
Sr  0.342  0.840  0.167
Sr  0.498  0.500  0.999
Sr  0.503  0.168  0.672
Sr  0.673  0.842  0.503
Sr  0.841  0.338  0.168
Co  0.004  0.337  0.836
Co  0.004  0.837  0.335
Co  0.503  0.336  0.335
Co  0.505  0.839  0.836
Ge  0.084  0.062  0.692
Ge  0.275  0.469  0.188
Ge  0.278  0.754  0.478
Ge  0.371  0.063  0.975
Ge  0.591  0.566  0.697
Ge  0.779  0.969  0.193
Ge  0.784  0.255  0.483
Ge  0.873  0.560  0.979
O  0.030  0.720  0.973
O  0.113  0.313  0.192
O  0.117  0.589  0.473
O  0.160  0.992  0.831
O  0.239  0.894  0.419
O  0.240  0.499  0.014
O  0.250  0.225  0.698
O  0.348  0.680  0.336
O  0.349  0.103  0.152
O  0.352  0.865  0.918
O  0.450  0.605  0.755
O  0.453  0.368  0.518
O  0.469  0.480  0.242
O  0.477  0.892  0.656
O  0.528  0.223  0.971
O  0.618  0.813  0.198
O  0.623  0.090  0.479
O  0.663  0.496  0.839
O  0.739  0.393  0.427
O  0.739  0.991  0.016
O  0.756  0.727  0.701
O  0.845  0.357  0.914
O  0.847  0.180  0.336
O  0.855  0.602  0.158
O  0.945  0.100  0.756
O  0.945  0.865  0.512
O  0.978  0.989  0.252
O  0.987  0.394  0.657

E (MP2020) ... -7.04 eV/atom
Space-group type ... P1, No. 1

# 6
An optimized crystal structure of Li9Mn2Co5O16, computed with PBE+U.

a = 2.974 Å, b = 2.974 Å, c = 39.397 Å
α = 91.06°, β = 91.06°, γ = 57.85°
Element x y z (fractional)
Li  0.000  0.000  0.000
Li  0.126  0.126  0.375
Li  0.257  0.257  0.751
Li  0.377  0.377  0.127
Li  0.501  0.501  0.500
Li  0.620  0.620  0.871
Li  0.751  0.751  0.251
Li  0.874  0.874  0.626
Li  0.938  0.938  0.812
Mn  0.309  0.309  0.937
Mn  0.689  0.689  0.063
Co  0.064  0.064  0.188
Co  0.189  0.189  0.563
Co  0.438  0.438  0.312
Co  0.562  0.562  0.687
Co  0.813  0.813  0.437
O  0.057  0.057  0.091
O  0.100  0.100  0.284
O  0.156  0.156  0.466
O  0.221  0.221  0.658
O  0.284  0.284  0.844
O  0.318  0.318  0.034
O  0.406  0.406  0.217
O  0.468  0.468  0.408
O  0.532  0.532  0.592
O  0.593  0.593  0.780
O  0.675  0.675  0.966
O  0.720  0.720  0.159
O  0.775  0.775  0.341
O  0.845  0.845  0.534
O  0.904  0.904  0.715
O  0.951  0.951  0.910

E (MP2020) ... -6.39 eV/atom
Space-group type ... Cm, No. 8

# 7
An optimized crystal structure of Li4Cr3FeO8, computed with PBE+U.

a = 5.125 Å, b = 5.883 Å, c = 10.605 Å
α = 73.91°, β = 76.19°, γ = 73.31°
Element x y z (fractional)
Li  0.000  0.189  0.374
Li  0.000  0.811  0.626
Li  0.001  0.439  0.874
Li  0.002  0.936  0.875
Li  0.003  0.686  0.374
Li  0.997  0.314  0.626
Li  0.998  0.064  0.125
Li  0.999  0.561  0.126
Cr  0.500  0.000  0.500
Cr  0.500  0.125  0.750
Cr  0.500  0.252  0.000
Cr  0.500  0.500  0.500
Cr  0.500  0.748  0.000
Cr  0.500  0.875  0.250
Fe  0.500  0.375  0.250
Fe  0.500  0.625  0.750
O  0.273  0.089  0.936
O  0.273  0.839  0.435
O  0.275  0.340  0.433
O  0.275  0.590  0.933
O  0.275  0.709  0.187
O  0.276  0.216  0.186
O  0.276  0.466  0.686
O  0.276  0.960  0.687
O  0.724  0.040  0.313
O  0.724  0.534  0.314
O  0.724  0.784  0.814
O  0.725  0.291  0.813
O  0.725  0.410  0.067
O  0.725  0.660  0.567
O  0.727  0.161  0.565
O  0.727  0.911  0.064

E (MP2020) ... -7.57 eV/atom
Space-group type ... P-1, No. 2

# 8
An optimized crystal structure of K2FeO4, computed with PBE+U.

a = 5.992 Å, b = 8.628 Å, c = 11.690 Å
α = 90.00°, β = 120.36°, γ = 90.00°
Element x y z (fractional)
K  0.012  0.009  0.290
K  0.012  0.491  0.790
K  0.402  0.715  0.593
K  0.402  0.785  0.093
K  0.598  0.215  0.907
K  0.598  0.285  0.407
K  0.988  0.509  0.210
K  0.988  0.991  0.710
Fe  0.254  0.228  0.065
Fe  0.254  0.272  0.565
Fe  0.746  0.728  0.435
Fe  0.746  0.772  0.935
O  0.054  0.202  0.903
O  0.054  0.298  0.403
O  0.085  0.222  0.143
O  0.085  0.278  0.643
O  0.386  0.097  0.586
O  0.386  0.403  0.086
O  0.484  0.094  0.124
O  0.484  0.406  0.624
O  0.516  0.594  0.376
O  0.516  0.906  0.876
O  0.614  0.597  0.914
O  0.614  0.903  0.414
O  0.915  0.722  0.357
O  0.915  0.778  0.857
O  0.946  0.702  0.597
O  0.946  0.798  0.097

E (MP2020) ... -5.77 eV/atom
Space-group type ... P2_1/c, No. 14

Number 1: DFT total energy -7.439 eV per atom, energy of formation from the pure elements -240 kJ per mole of atoms. Number 2: DFT total energy -7.678 eV per atom, energy of formation from the pure elements -243 kJ per mole of atoms. Number 3: DFT total energy -5.990 eV per atom, energy of formation from the pure elements -206 kJ per mole of atoms. Number 4: DFT total energy -5.824 eV per atom, energy of formation from the pure elements -177 kJ per mole of atoms. Number 5: DFT total energy -6.506 eV per atom, energy of formation from the pure elements -242 kJ per mole of atoms. Number 6: DFT total energy -5.690 eV per atom, energy of formation from the pure elements -164 kJ per mole of atoms. Number 7: DFT total energy -6.707 eV per atom, energy of formation from the pure elements -220 kJ per mole of atoms. Number 8: DFT total energy -5.052 eV per atom, energy of formation from the pure elements -136 kJ per mole of atoms.